# 1
# MgCo3TeO8

A relaxed structure of MgCo3TeO8 (PBE with a Hubbard U, the Materials Project database).

Summary:
Its MP2020-corrected energy is -6.589 eV per atom. As for the calculated volume: 157.5 Å³/cell. Its space-group type is P1, No. 1. For the total DFT energy (no corrections), the calculation gives -5.788 eV/atom.

Unit cell a=5.947 b=6.002 c=6.126 alpha=61.22 beta=60.98 gamma=60.34
Sites, in units of the cell vectors:
Mg: 0.000 0.000 0.000
Co: 0.367 0.361 0.421
Co: 0.367 0.852 0.413
Co: 0.854 0.360 0.424
Te: 0.365 0.362 0.909
O: 0.128 0.139 0.606
O: 0.134 0.584 0.151
O: 0.135 0.130 0.149
O: 0.144 0.580 0.676
O: 0.586 0.132 0.149
O: 0.595 0.138 0.675
O: 0.598 0.582 0.676
O: 0.607 0.560 0.232

***

# 2
# Mg6TiCoO8

A relaxed structure of Mg6TiCoO8 (PBE with a Hubbard U, the Materials Project database).

Summary:
Its MP2020-corrected energy is -6.748 eV per atom. As for the calculated volume: 157.1 Å³/cell. Its space-group type is P4/mmm, No. 123. For the total DFT energy (no corrections), the calculation gives -6.302 eV/atom.

Unit cell a=4.256 b=4.256 c=8.669 alpha=90.00 beta=90.00 gamma=90.00
Sites, in units of the cell vectors:
Mg: 0.000 0.000 0.000
Mg: 0.000 0.000 0.500
Mg: 0.000 0.500 0.239
Mg: 0.000 0.500 0.761
Mg: 0.500 0.000 0.239
Mg: 0.500 0.000 0.761
Ti: 0.500 0.500 0.500
Co: 0.500 0.500 0.000
O: 0.000 0.000 0.251
O: 0.000 0.000 0.749
O: 0.000 0.500 0.000
O: 0.000 0.500 0.500
O: 0.500 0.000 0.000
O: 0.500 0.000 0.500
O: 0.500 0.500 0.264
O: 0.500 0.500 0.736

***

# 3
# MgTi2Co2O6

A relaxed structure of MgTi2Co2O6 (PBE with a Hubbard U, the Materials Project database).

Summary:
Its MP2020-corrected energy is -8.014 eV per atom. As for the calculated volume: 117.1 Å³/cell. Its space-group type is R-3, No. 148. For the total DFT energy (no corrections), the calculation gives -7.341 eV/atom.

Unit cell a=5.832 b=5.832 c=5.832 alpha=52.95 beta=52.95 gamma=52.95
Sites, in units of the cell vectors:
Mg: 0.000 0.000 0.000
Ti: 0.349 0.349 0.349
Ti: 0.651 0.651 0.651
Co: 0.178 0.178 0.178
Co: 0.822 0.822 0.822
O: 0.067 0.413 0.736
O: 0.264 0.933 0.587
O: 0.413 0.736 0.067
O: 0.587 0.264 0.933
O: 0.736 0.067 0.413
O: 0.933 0.587 0.264

***

# 4
# MgTi2Co2O6

A relaxed structure of MgTi2Co2O6 (PBE with a Hubbard U, the Materials Project database).

Summary:
Its MP2020-corrected energy is -8.027 eV per atom. As for the calculated volume: 116.1 Å³/cell. Its space-group type is R3, No. 146. For the total DFT energy (no corrections), the calculation gives -7.354 eV/atom.

Unit cell a=5.787 b=5.787 c=5.787 alpha=53.48 beta=53.48 gamma=53.48
Sites, in units of the cell vectors:
Mg: 0.000 0.000 0.000
Ti: 0.192 0.192 0.192
Ti: 0.377 0.377 0.377
Co: 0.547 0.547 0.547
Co: 0.715 0.715 0.715
O: 0.144 0.399 0.795
O: 0.288 0.989 0.578
O: 0.399 0.795 0.144
O: 0.578 0.288 0.989
O: 0.795 0.144 0.399
O: 0.989 0.578 0.288

***

# 5
# MgTiCo5O12

A relaxed structure of MgTiCo5O12 (PBE with a Hubbard U, the Materials Project database).

Summary:
Its MP2020-corrected energy is -7.107 eV per atom. As for the calculated volume: 211.8 Å³/cell. Its space-group type is P1, No. 1. For the total DFT energy (no corrections), the calculation gives -6.242 eV/atom.

Unit cell a=4.948 b=4.982 c=9.972 alpha=86.79 beta=82.74 gamma=60.31
Sites, in units of the cell vectors:
Mg: 0.000 0.000 0.000
Ti: 0.082 0.664 0.727
Co: 0.268 0.332 0.250
Co: 0.408 0.001 0.757
Co: 0.599 0.666 0.254
Co: 0.739 0.335 0.758
Co: 0.929 0.001 0.268
O: 0.052 0.320 0.859
O: 0.103 0.016 0.656
O: 0.238 0.658 0.351
O: 0.265 0.010 0.152
O: 0.367 0.686 0.857
O: 0.449 0.313 0.657
O: 0.563 0.021 0.350
O: 0.644 0.302 0.152
O: 0.723 0.999 0.856
O: 0.746 0.670 0.656
O: 0.927 0.326 0.351
O: 0.968 0.681 0.152

***

# 6
# MgTiCo3O8

A relaxed structure of MgTiCo3O8 (PBE with a Hubbard U, the Materials Project database).

Summary:
Its MP2020-corrected energy is -7.221 eV per atom. As for the calculated volume: 155.5 Å³/cell. Its space-group type is P1, No. 1. For the total DFT energy (no corrections), the calculation gives -6.420 eV/atom.

Unit cell a=5.867 b=5.868 c=6.201 alpha=61.97 beta=89.85 gamma=60.01
Sites, in units of the cell vectors:
Mg: 0.000 0.000 0.000
Ti: 0.825 0.355 0.461
Co: 0.364 0.276 0.576
Co: 0.364 0.780 0.577
Co: 0.861 0.779 0.578
O: 0.076 0.319 0.752
O: 0.076 0.851 0.752
O: 0.128 0.746 0.376
O: 0.134 0.255 0.349
O: 0.591 0.824 0.759
O: 0.608 0.320 0.751
O: 0.616 0.255 0.348
O: 0.616 0.775 0.348

***

# 7
# MgTi2Co2O6

A relaxed structure of MgTi2Co2O6 (PBE with a Hubbard U, the Materials Project database).

Summary:
Its MP2020-corrected energy is -8.037 eV per atom. As for the calculated volume: 116.2 Å³/cell. Its space-group type is R-3, No. 148. For the total DFT energy (no corrections), the calculation gives -7.365 eV/atom.

Unit cell a=5.783 b=5.783 c=5.783 alpha=53.56 beta=53.56 gamma=53.56
Sites, in units of the cell vectors:
Mg: 0.000 0.000 0.000
Ti: 0.187 0.187 0.187
Ti: 0.813 0.813 0.813
Co: 0.357 0.357 0.357
Co: 0.643 0.643 0.643
O: 0.056 0.410 0.798
O: 0.202 0.944 0.590
O: 0.410 0.798 0.056
O: 0.590 0.202 0.944
O: 0.798 0.056 0.410
O: 0.944 0.590 0.202

***

# 8
# MgTiCo5O12

A relaxed structure of MgTiCo5O12 (PBE with a Hubbard U, the Materials Project database).

Summary:
Its MP2020-corrected energy is -7.121 eV per atom. As for the calculated volume: 211.7 Å³/cell. Its space-group type is P1, No. 1. For the total DFT energy (no corrections), the calculation gives -6.256 eV/atom.

Unit cell a=4.944 b=4.951 c=10.002 alpha=86.01 beta=82.84 gamma=60.63
Sites, in units of the cell vectors:
Mg: 0.000 0.000 0.000
Ti: 0.399 0.338 0.732
Co: 0.066 0.003 0.742
Co: 0.250 0.681 0.255
Co: 0.586 0.016 0.248
Co: 0.729 0.670 0.756
Co: 0.916 0.347 0.249
O: 0.035 0.323 0.853
O: 0.070 0.675 0.650
O: 0.234 0.337 0.340
O: 0.265 0.017 0.149
O: 0.359 0.684 0.853
O: 0.437 0.986 0.651
O: 0.572 0.674 0.341
O: 0.647 0.315 0.138
O: 0.721 0.996 0.852
O: 0.759 0.352 0.651
O: 0.862 0.045 0.348
O: 0.943 0.694 0.149